# RbFeCl3, optimized geometry, DFT PBE
data_RbFeCl3
_chemical_formula_sum 'Rb2 Fe2 Cl6'
_space_group_name_H-M_alt 'P 63/m m c'
_space_group_IT_number 194
_space_group_name_Hall '-P 6c 2c'
_cell_length_a 6.9797
_cell_length_b 6.9797
_cell_length_c 5.8728
_cell_angle_alpha 90.00
_cell_angle_beta 90.00
_cell_angle_gamma 120.00
loop_
_atom_site_label
_atom_site_fract_x
_atom_site_fract_y
_atom_site_fract_z
Rb1 0.3333 0.6667 0.2500
Fe1 0.0000 0.0000 0.0000
Cl1 0.1490 0.2980 0.7500
# **Formation enthalpy at 0 K**: -1.52 eV per atom
# **Final energy**: -4.147 eV/atom
# **M_tot**: 0.8000 μB/atom